No. 1
First-principles (PBE with a Hubbard U) data for an optimized crystal structure of Na2UMo2H3O11, as listed in the Materials Project database.

Symmetry = P2_1/c, No. 14
E_form = -1.484 eV per atom
Energy = -6.025 eV per atom

Lattice parameters (Å, degrees): 7.525 12.256 14.366 90.00 106.28 90.00
Atoms (fractional coordinates):
O (0.257, 0.126, 0.608)
O (0.661, 0.075, 0.479)
O (0.392, 0.996, 0.305)
O (0.452, 0.598, 0.158)
O (0.952, 0.902, 0.658)
O (0.048, 0.098, 0.342)
O (0.243, 0.626, 0.892)
O (0.313, 0.187, 0.796)
O (0.813, 0.313, 0.296)
O (0.161, 0.425, 0.979)
O (0.529, 0.759, 0.839)
O (0.743, 0.874, 0.392)
O (0.608, 0.004, 0.695)
O (0.205, 0.114, 0.965)
O (0.971, 0.259, 0.661)
O (0.742, 0.089, 0.292)
O (0.587, 0.189, 0.990)
O (0.050, 0.478, 0.611)
O (0.705, 0.386, 0.465)
O (0.795, 0.886, 0.035)
O (0.758, 0.589, 0.208)
O (0.950, 0.522, 0.389)
O (0.187, 0.687, 0.704)
O (0.471, 0.241, 0.161)
O (0.295, 0.614, 0.535)
O (0.413, 0.811, 0.010)
O (0.450, 0.978, 0.889)
O (0.108, 0.496, 0.195)
O (0.258, 0.911, 0.708)
O (0.687, 0.813, 0.204)
O (0.839, 0.575, 0.021)
O (0.913, 0.689, 0.510)
O (0.029, 0.741, 0.339)
O (0.932, 0.153, 0.147)
O (0.087, 0.311, 0.490)
O (0.432, 0.347, 0.647)
O (0.548, 0.402, 0.842)
O (0.757, 0.374, 0.108)
O (0.568, 0.653, 0.353)
O (0.339, 0.925, 0.521)
O (0.068, 0.847, 0.853)
O (0.242, 0.411, 0.792)
O (0.892, 0.504, 0.805)
O (0.550, 0.022, 0.111)
Na (0.161, 0.917, 0.363)
Na (0.339, 0.417, 0.137)
Na (0.761, 0.908, 0.864)
Na (0.261, 0.592, 0.364)
Na (0.839, 0.083, 0.637)
Na (0.239, 0.092, 0.136)
Na (0.739, 0.408, 0.636)
Na (0.661, 0.583, 0.863)
Mo (0.111, 0.618, 0.589)
Mo (0.389, 0.118, 0.911)
Mo (0.132, 0.493, 0.868)
Mo (0.611, 0.882, 0.089)
Mo (0.632, 0.007, 0.368)
Mo (0.889, 0.382, 0.411)
Mo (0.868, 0.507, 0.132)
Mo (0.368, 0.993, 0.632)
U (0.794, 0.700, 0.344)
U (0.294, 0.800, 0.844)
U (0.206, 0.300, 0.656)
U (0.706, 0.200, 0.156)
H (0.816, 0.736, 0.758)
H (0.978, 0.061, 0.859)
H (0.900, 0.263, 0.950)
H (0.316, 0.764, 0.258)
H (0.184, 0.264, 0.242)
H (0.522, 0.561, 0.641)
H (0.600, 0.763, 0.550)
H (0.684, 0.236, 0.742)
H (0.478, 0.439, 0.359)
H (0.100, 0.737, 0.050)
H (0.022, 0.939, 0.141)
H (0.400, 0.237, 0.450)

=====

No. 2
First-principles (PBE with a Hubbard U) data for an optimized crystal structure of CrGe2O6, as listed in the Materials Project database.

Symmetry = P-1, No. 2
E_form = -1.973 eV per atom
Excess energy over the best structure of this formula in the dataset = 0.000 eV/atom
Energy = -6.691 eV per atom

Lattice parameters (Å, degrees): 5.572 6.549 6.811 82.97 74.57 75.21
Atoms (fractional coordinates):
O (0.384, 0.038, 0.177)
O (0.749, 0.631, 0.082)
O (0.955, 0.344, 0.387)
O (0.758, 0.934, 0.367)
O (0.128, 0.824, 0.969)
O (0.552, 0.605, 0.656)
O (0.251, 0.369, 0.918)
O (0.872, 0.176, 0.031)
O (0.448, 0.395, 0.344)
O (0.616, 0.962, 0.823)
O (0.045, 0.656, 0.613)
O (0.242, 0.066, 0.633)
Ge (0.266, 0.203, 0.396)
Ge (0.767, 0.376, 0.213)
Ge (0.233, 0.624, 0.787)
Ge (0.734, 0.797, 0.604)
Cr (0.740, 0.908, 0.095)
Cr (0.260, 0.092, 0.905)

=====

No. 3
First-principles (PBE with a Hubbard U) data for an optimized crystal structure of CoGe2O6, as listed in the Materials Project database.

Symmetry = C2/c, No. 15
E_form = -1.577 eV per atom
Excess energy over the best structure of this formula in the dataset = 0.000 eV/atom
Energy = -6.053 eV per atom

Lattice parameters (Å, degrees): 6.672 6.672 5.553 77.01 77.01 83.37
Atoms (fractional coordinates):
O (0.086, 0.635, 0.705)
O (0.820, 0.971, 0.622)
O (0.914, 0.365, 0.295)
O (0.612, 0.658, 0.497)
O (0.635, 0.086, 0.205)
O (0.971, 0.820, 0.122)
O (0.342, 0.388, 0.003)
O (0.388, 0.342, 0.503)
O (0.029, 0.180, 0.878)
O (0.658, 0.612, 0.997)
O (0.180, 0.029, 0.378)
O (0.365, 0.914, 0.795)
Ge (0.797, 0.621, 0.228)
Ge (0.203, 0.379, 0.772)
Ge (0.379, 0.203, 0.272)
Ge (0.621, 0.797, 0.728)
Co (0.896, 0.104, 0.250)
Co (0.104, 0.896, 0.750)

=====

No. 4
First-principles (PBE with a Hubbard U) data for an optimized crystal structure of Li4MnV3P8O28, as listed in the Materials Project database.

Symmetry = P1, No. 1
E_form = -2.692 eV per atom
Excess energy over the best structure of this formula in the dataset = 0.000 eV/atom
Energy = -7.235 eV per atom

Lattice parameters (Å, degrees): 9.593 9.639 7.161 79.76 79.12 119.12
Atoms (fractional coordinates):
O (0.199, 0.542, 0.506)
O (0.275, 0.970, 0.887)
O (0.487, 0.311, 0.145)
O (0.775, 0.472, 0.886)
O (0.336, 0.372, 0.481)
O (0.752, 0.405, 0.247)
O (0.626, 0.059, 0.917)
O (0.688, 0.622, 0.085)
O (0.438, 0.764, 0.847)
O (0.345, 0.499, 0.753)
O (0.516, 0.693, 0.395)
O (0.937, 0.261, 0.851)
O (0.190, 0.124, 0.084)
O (0.125, 0.561, 0.914)
O (0.379, 0.916, 0.518)
O (0.056, 0.731, 0.605)
O (0.778, 0.975, 0.114)
O (0.278, 0.482, 0.115)
O (0.700, 0.043, 0.506)
O (0.017, 0.193, 0.392)
O (0.878, 0.417, 0.517)
O (0.557, 0.235, 0.605)
O (0.707, 0.551, 0.494)
O (0.252, 0.906, 0.249)
O (0.833, 0.872, 0.482)
O (0.846, 0.998, 0.752)
O (0.203, 0.045, 0.505)
O (0.989, 0.813, 0.149)
P (0.349, 0.528, 0.523)
P (0.850, 0.029, 0.521)
P (0.671, 0.455, 0.087)
P (0.795, 0.079, 0.914)
P (0.720, 0.401, 0.478)
P (0.294, 0.581, 0.914)
P (0.220, 0.900, 0.482)
P (0.172, 0.955, 0.088)
Li (0.069, 0.430, 0.325)
Li (0.318, 0.181, 0.675)
Li (0.568, 0.929, 0.325)
Li (0.820, 0.682, 0.675)
V (0.757, 0.756, 0.272)
V (0.494, 0.994, 0.728)
V (0.993, 0.492, 0.728)
Mn (0.259, 0.258, 0.268)

=====

No. 5
First-principles (PBE with a Hubbard U) data for an optimized crystal structure of Fe3Sb5I3O9, as listed in the Materials Project database.

Symmetry = P-1, No. 2
E_form = -1.443 eV per atom
Energy = -5.553 eV per atom

Lattice parameters (Å, degrees): 8.146 9.092 12.397 78.95 85.73 70.49
Atoms (fractional coordinates):
I (0.489, 0.305, 0.420)
I (0.511, 0.695, 0.580)
I (0.719, 0.361, 0.925)
I (0.281, 0.639, 0.075)
I (0.902, 0.675, 0.316)
I (0.098, 0.325, 0.684)
Sb (0.812, 0.730, 0.020)
Sb (0.788, 0.321, 0.202)
Sb (0.244, 0.166, 0.257)
Sb (0.188, 0.270, 0.980)
Sb (0.468, 0.790, 0.246)
Sb (0.532, 0.210, 0.754)
Sb (0.212, 0.679, 0.798)
Sb (0.878, 0.185, 0.501)
Sb (0.122, 0.815, 0.499)
Sb (0.756, 0.834, 0.743)
O (0.492, 0.974, 0.302)
O (0.440, 0.140, 0.905)
O (0.508, 0.026, 0.698)
O (0.637, 0.798, 0.895)
O (0.852, 0.939, 0.017)
O (0.785, 0.046, 0.770)
O (0.930, 0.240, 0.342)
O (0.560, 0.860, 0.095)
O (0.215, 0.954, 0.230)
O (0.221, 0.895, 0.804)
O (0.070, 0.760, 0.658)
O (0.148, 0.061, 0.983)
O (0.363, 0.202, 0.105)
O (0.140, 0.029, 0.520)
O (0.033, 0.270, 0.135)
O (0.967, 0.730, 0.865)
O (0.779, 0.105, 0.196)
O (0.860, 0.971, 0.480)
Fe (0.387, 0.905, 0.941)
Fe (0.708, 0.989, 0.353)
Fe (0.978, 0.037, 0.871)
Fe (0.613, 0.095, 0.059)
Fe (0.022, 0.963, 0.129)
Fe (0.292, 0.011, 0.647)

=====

No. 6
First-principles (PBE with a Hubbard U) data for an optimized crystal structure of Li9Co7O16, as listed in the Materials Project database.

Symmetry = P-1, No. 2
E_form = -1.754 eV per atom
Excess energy over the best structure of this formula in the dataset = 0.001 eV/atom
Energy = -5.618 eV per atom

Lattice parameters (Å, degrees): 5.689 6.414 7.552 88.98 100.98 102.86
Atoms (fractional coordinates):
Co (0.000, 0.500, 0.000)
Co (0.253, 0.749, 0.753)
Co (0.000, 0.000, 0.500)
Co (0.747, 0.251, 0.247)
Co (0.500, 0.000, 0.500)
Co (0.252, 0.251, 0.247)
Co (0.748, 0.749, 0.753)
Li (0.123, 0.622, 0.374)
Li (0.500, 0.500, 0.000)
Li (0.621, 0.129, 0.878)
Li (0.866, 0.867, 0.121)
Li (0.134, 0.133, 0.879)
Li (0.877, 0.378, 0.626)
Li (0.625, 0.624, 0.370)
Li (0.375, 0.376, 0.630)
Li (0.379, 0.871, 0.122)
O (0.945, 0.707, 0.577)
O (0.178, 0.457, 0.821)
O (0.055, 0.293, 0.423)
O (0.441, 0.190, 0.083)
O (0.555, 0.295, 0.423)
O (0.695, 0.955, 0.326)
O (0.805, 0.042, 0.673)
O (0.445, 0.705, 0.577)
O (0.945, 0.206, 0.074)
O (0.195, 0.958, 0.327)
O (0.289, 0.543, 0.180)
O (0.055, 0.794, 0.926)
O (0.711, 0.457, 0.820)
O (0.305, 0.045, 0.674)
O (0.822, 0.543, 0.179)
O (0.559, 0.810, 0.917)

=====

No. 7
First-principles (PBE with a Hubbard U) data for an optimized crystal structure of LiCrSnO4, as listed in the Materials Project database.

E_form = -2.280 eV per atom
Excess energy over the best structure of this formula in the dataset = 0.000 eV/atom
Energy = -6.653 eV per atom

Lattice parameters (Å, degrees): 6.049 6.296 8.664 90.00 90.00 90.00
Atoms (fractional coordinates):
Cr (0.250, 0.750, 0.250)
Cr (0.750, 0.250, 0.750)
Cr (0.250, 0.250, 0.750)
Cr (0.750, 0.750, 0.250)
O (0.767, 0.750, 0.487)
O (0.500, 0.532, 0.239)
O (0.500, 0.468, 0.761)
O (0.733, 0.750, 0.013)
O (0.233, 0.750, 0.487)
O (0.000, 0.532, 0.261)
O (0.500, 0.032, 0.761)
O (0.767, 0.250, 0.513)
O (0.000, 0.468, 0.739)
O (0.733, 0.250, 0.987)
O (0.000, 0.968, 0.261)
O (0.500, 0.968, 0.239)
O (0.233, 0.250, 0.513)
O (0.000, 0.032, 0.739)
O (0.267, 0.250, 0.987)
O (0.267, 0.750, 0.013)
Sn (0.500, 0.000, 0.000)
Sn (0.000, 0.000, 0.500)
Sn (0.000, 0.500, 0.500)
Sn (0.500, 0.500, 0.000)
Li (0.500, 0.250, 0.374)
Li (0.500, 0.750, 0.626)
Li (0.000, 0.750, 0.874)
Li (0.000, 0.250, 0.126)

=====

No. 8
First-principles (PBE with a Hubbard U) data for an optimized crystal structure of Li2CoSiO4, as listed in the Materials Project database.

E_form = -2.510 eV per atom
Excess energy over the best structure of this formula in the dataset = 0.004 eV/atom
Energy = -6.480 eV per atom

Lattice parameters (Å, degrees): 7.396 7.399 7.953 115.13 115.04 95.07
Atoms (fractional coordinates):
O (0.921, 0.748, 0.000)
O (0.822, 0.504, 0.218)
O (0.249, 0.422, 0.501)
O (0.421, 0.248, 0.000)
O (0.495, 0.611, 0.001)
O (0.323, 0.004, 0.218)
O (0.604, 0.286, 0.781)
O (0.786, 0.105, 0.282)
O (0.995, 0.111, 0.001)
O (0.505, 0.823, 0.719)
O (0.005, 0.323, 0.719)
O (0.610, 0.495, 0.500)
O (0.110, 0.995, 0.500)
O (0.104, 0.786, 0.781)
O (0.286, 0.605, 0.282)
O (0.749, 0.922, 0.501)
Li (0.545, 0.213, 0.251)
Li (0.462, 0.794, 0.249)
Li (0.714, 0.046, 0.752)
Li (0.294, 0.962, 0.748)
Li (0.794, 0.462, 0.748)
Li (0.962, 0.294, 0.249)
Li (0.214, 0.546, 0.752)
Li (0.045, 0.713, 0.251)
Si (0.087, 0.914, 0.000)
Si (0.587, 0.414, 0.000)
Si (0.414, 0.587, 0.500)
Si (0.914, 0.087, 0.501)
Co (0.674, 0.833, 0.001)
Co (0.833, 0.674, 0.500)
Co (0.174, 0.333, 0.001)
Co (0.333, 0.174, 0.500)

=====

No. 9
First-principles (PBE with a Hubbard U) data for an optimized crystal structure of BaMg14NiO16, as listed in the Materials Project database.

Symmetry = Pmmm, No. 47
E_form = -2.739 eV per atom
Energy = -5.731 eV per atom

Lattice parameters (Å, degrees): 8.734 8.703 4.502 90.00 90.00 90.00
Atoms (fractional coordinates):
Ni (0.000, 0.000, 0.000)
Mg (0.500, 0.000, 0.000)
Mg (0.500, 0.500, 0.000)
Mg (0.736, 0.500, 0.500)
Mg (0.264, 0.500, 0.500)
Mg (0.741, 0.241, 0.000)
Mg (0.500, 0.753, 0.500)
Mg (0.000, 0.236, 0.500)
Mg (0.741, 0.759, 0.000)
Mg (0.500, 0.247, 0.500)
Mg (0.000, 0.764, 0.500)
Mg (0.259, 0.759, 0.000)
Mg (0.259, 0.241, 0.000)
Mg (0.749, 0.000, 0.500)
Mg (0.251, 0.000, 0.500)
O (0.750, 0.249, 0.500)
O (0.250, 0.751, 0.500)
O (0.259, 0.000, 0.000)
O (0.250, 0.249, 0.500)
O (0.000, 0.220, 0.000)
O (0.281, 0.500, 0.000)
O (0.500, 0.243, 0.000)
O (0.500, 0.000, 0.500)
O (0.719, 0.500, 0.000)
O (0.500, 0.757, 0.000)
O (0.000, 0.000, 0.500)
O (0.741, 0.000, 0.000)
O (0.750, 0.751, 0.500)
O (0.500, 0.500, 0.500)
O (0.000, 0.780, 0.000)
O (0.000, 0.500, 0.500)
Ba (0.000, 0.500, 0.000)

=====

No. 10
First-principles (PBE with a Hubbard U) data for an optimized crystal structure of LiV6O7F5, as listed in the Materials Project database.

Symmetry = P1, No. 1
E_form = -2.708 eV per atom
Excess energy over the best structure of this formula in the dataset = 0.044 eV/atom
Energy = -7.093 eV per atom

Lattice parameters (Å, degrees): 5.666 5.687 7.543 71.75 71.73 71.73
Atoms (fractional coordinates):
V (0.649, 0.635, 0.308)
V (0.001, 0.005, 0.001)
V (0.333, 0.350, 0.677)
V (0.696, 0.697, 0.829)
V (0.017, 0.996, 0.503)
V (0.297, 0.322, 0.173)
O (0.781, 0.779, 0.027)
O (0.226, 0.226, 0.966)
O (0.424, 0.414, 0.369)
O (0.645, 0.048, 0.659)
O (0.955, 0.352, 0.333)
O (0.370, 0.953, 0.336)
O (0.045, 0.647, 0.668)
Li (0.573, 0.061, 0.431)
F (0.692, 0.309, 0.000)
F (0.108, 0.107, 0.704)
F (0.895, 0.892, 0.301)
F (0.575, 0.581, 0.635)
F (0.308, 0.700, 0.994)

=====

No. 11
First-principles (PBE with a Hubbard U) data for an optimized crystal structure of TeW2O8, as listed in the Materials Project database.

Symmetry = P1, No. 1
E_form = -1.811 eV per atom
Largest piezoelectric modulus = 3.13 C/m²
Excess energy over the best structure of this formula in the dataset = 0.094 eV/atom
Energy = -6.745 eV per atom

Lattice parameters (Å, degrees): 5.186 6.029 6.270 112.95 91.35 104.16
Atoms (fractional coordinates):
O (0.654, 0.813, 0.675)
O (0.368, 0.425, 0.243)
O (0.612, 0.797, 0.187)
O (0.276, 0.367, 0.757)
O (0.065, 0.867, 0.403)
O (0.818, 0.380, 0.488)
O (0.882, 0.405, 0.066)
O (0.142, 0.829, 0.977)
W (0.726, 0.613, 0.410)
W (0.222, 0.558, 0.031)
Te (0.961, 0.042, 0.219)